A relaxed LaP2H44C14N7Cl4O2 crystal. Source: the Materials Project database, functional PBE.

Cell and atoms, written as POSCAR:
```
LaP2H44C14N7Cl4O2
1.0
9.012 -5.548 0.000
9.012 5.548 0.000
-2.645 0.000 16.130
La P H C N Cl O
2 4 88 28 14 8 4
Direct
0.246 0.754 0.500 La
0.754 0.246 0.000 La
0.348 0.368 0.398 P
0.368 0.348 0.898 P
0.628 0.645 0.606 P
0.645 0.628 0.106 P
0.056 0.683 0.906 H
0.056 0.825 0.722 H
0.061 0.939 0.163 H
0.067 0.084 0.804 H
0.070 0.508 0.883 H
0.084 0.067 0.304 H
0.084 0.370 0.389 H
0.091 0.414 0.499 H
0.094 0.595 0.804 H
0.113 0.818 0.243 H
0.119 0.238 0.459 H
0.131 0.939 0.866 H
0.139 0.506 0.210 H
0.147 0.342 0.044 H
0.164 0.284 0.796 H
0.174 0.266 0.213 H
0.194 0.479 0.029 H
0.199 0.362 0.717 H
0.205 0.590 0.295 H
0.208 0.917 0.771 H
0.238 0.119 0.959 H
0.266 0.174 0.713 H
0.274 0.719 0.924 H
0.274 0.723 0.081 H
0.284 0.164 0.296 H
0.310 0.940 0.098 H
0.318 0.636 0.822 H
0.320 0.328 0.081 H
0.322 0.470 0.221 H
0.328 0.320 0.581 H
0.342 0.147 0.544 H
0.359 0.677 0.182 H
0.362 0.199 0.217 H
0.370 0.084 0.889 H
0.398 0.901 0.199 H
0.405 0.789 0.708 H
0.414 0.091 0.999 H
0.424 0.555 0.094 H
0.441 0.570 0.910 H
0.470 0.322 0.721 H
0.479 0.194 0.529 H
0.485 0.926 0.121 H
0.490 0.855 0.793 H
0.506 0.139 0.710 H
0.508 0.070 0.383 H
0.515 0.801 0.975 H
0.525 0.672 0.783 H
0.555 0.424 0.594 H
0.570 0.441 0.410 H
0.579 0.903 0.505 H
0.590 0.205 0.795 H
0.595 0.094 0.304 H
0.624 0.911 0.614 H
0.632 0.796 0.286 H
0.636 0.318 0.322 H
0.653 0.847 0.960 H
0.666 0.675 0.923 H
0.672 0.525 0.283 H
0.675 0.666 0.423 H
0.677 0.359 0.682 H
0.683 0.056 0.406 H
0.710 0.831 0.207 H
0.719 0.274 0.424 H
0.723 0.274 0.581 H
0.729 0.820 0.790 H
0.755 0.875 0.544 H
0.789 0.405 0.208 H
0.796 0.632 0.786 H
0.801 0.515 0.475 H
0.818 0.113 0.743 H
0.820 0.729 0.290 H
0.825 0.056 0.222 H
0.831 0.710 0.707 H
0.834 0.968 0.666 H
0.847 0.653 0.460 H
0.855 0.490 0.293 H
0.875 0.755 0.044 H
0.901 0.398 0.699 H
0.903 0.579 0.005 H
0.908 0.952 0.305 H
0.911 0.624 0.114 H
0.917 0.208 0.271 H
0.926 0.485 0.621 H
0.939 0.061 0.663 H
0.939 0.131 0.366 H
0.940 0.310 0.598 H
0.952 0.908 0.805 H
0.968 0.834 0.166 H
0.024 0.890 0.204 C
0.111 0.969 0.803 C
0.114 0.580 0.871 C
0.137 0.330 0.449 C
0.231 0.492 0.255 C
0.234 0.365 0.031 C
0.244 0.271 0.755 C
0.271 0.244 0.255 C
0.329 0.616 0.888 C
0.330 0.137 0.949 C
0.365 0.234 0.531 C
0.378 0.667 0.116 C
0.414 0.882 0.133 C
0.492 0.231 0.755 C
0.503 0.764 0.748 C
0.580 0.114 0.371 C
0.616 0.329 0.388 C
0.630 0.761 0.973 C
0.664 0.857 0.554 C
0.667 0.378 0.616 C
0.723 0.751 0.248 C
0.751 0.723 0.748 C
0.761 0.630 0.473 C
0.764 0.503 0.248 C
0.857 0.664 0.054 C
0.882 0.414 0.633 C
0.890 0.024 0.704 C
0.969 0.111 0.303 C
0.003 0.921 0.759 N
0.258 0.376 0.305 N
0.266 0.522 0.899 N
0.284 0.290 0.950 N
0.290 0.284 0.450 N
0.376 0.258 0.805 N
0.471 0.730 0.105 N
0.522 0.266 0.399 N
0.620 0.736 0.699 N
0.704 0.710 0.053 N
0.710 0.704 0.553 N
0.730 0.471 0.605 N
0.736 0.620 0.199 N
0.921 0.003 0.259 N
0.017 0.165 0.087 Cl
0.161 0.663 0.634 Cl
0.165 0.017 0.587 Cl
0.343 0.827 0.373 Cl
0.663 0.161 0.134 Cl
0.827 0.343 0.873 Cl
0.835 0.973 0.912 Cl
0.973 0.835 0.412 Cl
0.324 0.517 0.431 O
0.478 0.668 0.574 O
0.517 0.324 0.931 O
0.668 0.478 0.074 O
```

Summary:
* space-group type: Cc, No. 9
* raw total energy: -398.358 eV/f.u.